DFT (PBE+U) results for a geometry-optimized Na2CoPO4F structure.

Output
DFT total energy	-433.92	eV for the cell shown
crystal system	orthorhombic
theoretical density	3.3	Mg/m³

```
data_Na2CoPO4F
_symmetry_space_group_name_H-M 'P 1'
_symmetry_Int_Tables_number 1
_symmetry_space_group_name_Hall 'P 1'
_cell_length_a 5.2969
_cell_length_b 11.7990
_cell_length_c 13.9388
_cell_angle_alpha 90.00
_cell_angle_beta 90.00
_cell_angle_gamma 90.00
loop_
_atom_site_label
_atom_site_fract_x
_atom_site_fract_y
_atom_site_fract_z
Na1 0.7365 0.8287 0.7457
Na2 0.2365 0.1713 0.7543
Na3 0.7635 0.3287 0.7543
Na4 0.2635 0.6713 0.7457
Na5 0.2635 0.1713 0.2543
Na6 0.7635 0.8287 0.2457
Na7 0.2365 0.6713 0.2457
Na8 0.7365 0.3287 0.2543
Na9 0.7575 0.0835 0.3760
Na10 0.2575 0.9165 0.1240
Na11 0.7425 0.5835 0.1240
Na12 0.2425 0.4165 0.3760
Na13 0.2425 0.9165 0.6240
Na14 0.7425 0.0835 0.8760
Na15 0.2575 0.4165 0.8760
Na16 0.7575 0.5835 0.6240
Co1 0.7800 0.8266 0.5112
Co2 0.2800 0.1734 0.9888
Co3 0.7200 0.3266 0.9888
Co4 0.2200 0.6734 0.5112
Co5 0.2200 0.1734 0.4888
Co6 0.7200 0.8266 0.0112
Co7 0.2800 0.6734 0.0112
Co8 0.7800 0.3266 0.4888
P1 0.2934 0.9119 0.3823
P2 0.7934 0.0881 0.1177
P3 0.2066 0.4119 0.1177
P4 0.7066 0.5881 0.3823
P5 0.7066 0.0881 0.6177
P6 0.2066 0.9119 0.8823
P7 0.7934 0.5881 0.8823
P8 0.2934 0.4119 0.6177
O1 0.7695 0.9594 0.6097
O2 0.2695 0.0406 0.8903
O3 0.7305 0.4594 0.8903
O4 0.2305 0.5406 0.6097
O5 0.2305 0.0406 0.3903
O6 0.7305 0.9594 0.1097
O7 0.2695 0.5406 0.1097
O8 0.7695 0.4594 0.3903
O9 0.5856 0.8944 0.3961
O10 0.0856 0.1056 0.1039
O11 0.9144 0.3944 0.1039
O12 0.4144 0.6056 0.3961
O13 0.4144 0.1056 0.6039
O14 0.9144 0.8944 0.8961
O15 0.0856 0.6056 0.8961
O16 0.5856 0.3944 0.6039
O17 0.2092 0.8677 0.2838
O18 0.7092 0.1323 0.2162
O19 0.2908 0.3677 0.2162
O20 0.7908 0.6323 0.2838
O21 0.7908 0.1323 0.7162
O22 0.2908 0.8677 0.7838
O23 0.7092 0.6323 0.7838
O24 0.2092 0.3677 0.7162
O25 0.1547 0.8465 0.4649
O26 0.6547 0.1535 0.0351
O27 0.3453 0.3465 0.0351
O28 0.8453 0.6535 0.4649
O29 0.8453 0.1535 0.5351
O30 0.3453 0.8465 0.9649
O31 0.6547 0.6535 0.9649
O32 0.1547 0.3465 0.5351
F1 0.5000 0.2500 0.8733
F2 0.0000 0.7500 0.6267
F3 0.5000 0.7500 0.1267
F4 0.0000 0.2500 0.3733
F5 0.0000 0.2500 0.9053
F6 0.5000 0.7500 0.5947
F7 0.0000 0.7500 0.0947
F8 0.5000 0.2500 0.4053
```



DFT (PBE+U) results for a geometry-optimized NaCoSeO6F structure.

Output
DFT total energy	-95.97	eV for the cell shown
crystal system	monoclinic
theoretical density	3.2	Mg/m³

```
data_NaCoSeO6F
_symmetry_space_group_name_H-M 'P 1'
_symmetry_Int_Tables_number 1
_symmetry_space_group_name_Hall 'P 1'
_cell_length_a 7.3687
_cell_length_b 5.8007
_cell_length_c 7.2242
_cell_angle_alpha 69.18
_cell_angle_beta 90.00
_cell_angle_gamma 90.00
loop_
_atom_site_label
_atom_site_fract_x
_atom_site_fract_y
_atom_site_fract_z
Na1 0.7500 0.8976 0.6998
Na2 0.2500 0.1024 0.3002
Co1 0.5000 0.5000 0.5000
Co2 0.0000 0.5000 0.5000
Se1 0.7500 0.3611 0.1772
Se2 0.2500 0.6389 0.8228
O1 0.5653 0.2916 0.3372
O2 0.0653 0.7084 0.6628
O3 0.4347 0.7084 0.6628
O4 0.9347 0.2916 0.3372
O5 0.7500 0.1539 0.0680
O6 0.2500 0.8461 0.9320
O7 0.7500 0.6513 0.0313
O8 0.2500 0.3487 0.9687
O9 0.0534 0.7410 0.3025
O10 0.5534 0.2590 0.6975
O11 0.9466 0.2590 0.6975
O12 0.4466 0.7410 0.3025
F1 0.7500 0.6432 0.5029
F2 0.2500 0.3568 0.4971
```



DFT (PBE+U) results for a geometry-optimized RbNa2CoF6 structure.

Output
DFT total energy	-42.69	eV for the cell shown
crystal system	cubic
theoretical density	2.9	Mg/m³

```
data_RbNa2CoF6
_symmetry_space_group_name_H-M 'P 1'
_symmetry_Int_Tables_number 1
_symmetry_space_group_name_Hall 'P 1'
_cell_length_a 6.2477
_cell_length_b 6.2477
_cell_length_c 6.2477
_cell_angle_alpha 60.00
_cell_angle_beta 60.00
_cell_angle_gamma 60.00
loop_
_atom_site_label
_atom_site_fract_x
_atom_site_fract_y
_atom_site_fract_z
Rb1 0.5000 0.5000 0.5000
Na1 0.2500 0.2500 0.2500
Na2 0.7500 0.7500 0.7500
Co1 0.0000 0.0000 0.0000
F1 0.2105 0.7895 0.2105
F2 0.7895 0.7895 0.2105
F3 0.7895 0.2105 0.7895
F4 0.7895 0.2105 0.2105
F5 0.2105 0.7895 0.7895
F6 0.2105 0.2105 0.7895
```



DFT (PBE+U) results for a geometry-optimized Na2VCoF7 structure.

Output
DFT total energy	-458.83	eV for the cell shown
crystal system	monoclinic
theoretical density	3.3	Mg/m³

```
data_Na2VCoF7
_symmetry_space_group_name_H-M 'P 1'
_symmetry_Int_Tables_number 1
_symmetry_space_group_name_Hall 'P 1'
_cell_length_a 7.4281
_cell_length_b 7.4281
_cell_length_c 24.9565
_cell_angle_alpha 81.40
_cell_angle_beta 81.40
_cell_angle_gamma 60.39
loop_
_atom_site_label
_atom_site_fract_x
_atom_site_fract_y
_atom_site_fract_z
Na1 0.0000 0.0000 0.0000
Na2 0.0000 0.0000 0.5000
Na3 0.5000 0.5000 0.0000
Na4 0.5000 0.5000 0.5000
Na5 0.0000 0.5000 0.5000
Na6 0.5000 0.0000 0.0000
Na7 0.7783 0.2217 0.2500
Na8 0.2217 0.7783 0.7500
Na9 0.7860 0.7074 0.2519
Na10 0.2926 0.2140 0.2481
Na11 0.2140 0.2926 0.7481
Na12 0.7074 0.7860 0.7519
Na13 0.1345 0.1177 0.1217
Na14 0.8823 0.8655 0.3783
Na15 0.8655 0.8823 0.8783
Na16 0.1177 0.1345 0.6217
V1 0.0000 0.5000 0.0000
V2 0.5000 0.0000 0.5000
V3 0.2467 0.7533 0.2500
V4 0.7533 0.2467 0.7500
V5 0.6355 0.1120 0.1258
V6 0.8880 0.3645 0.3742
V7 0.3645 0.8880 0.8742
V8 0.1120 0.6355 0.6258
Co1 0.6309 0.6142 0.1277
Co2 0.3858 0.3691 0.3723
Co3 0.3691 0.3858 0.8723
Co4 0.6142 0.6309 0.6277
Co5 0.1335 0.6131 0.1262
Co6 0.3869 0.8665 0.3738
Co7 0.8665 0.3869 0.8738
Co8 0.6131 0.1335 0.6262
F1 0.7385 0.5853 0.0469
F2 0.4147 0.2615 0.4531
F3 0.2615 0.4147 0.9531
F4 0.5853 0.7385 0.5469
F5 0.5270 0.6364 0.2094
F6 0.3636 0.4730 0.2906
F7 0.4730 0.3636 0.7906
F8 0.6364 0.5270 0.7094
F9 0.7303 0.3014 0.1422
F10 0.6986 0.2697 0.3578
F11 0.2697 0.6986 0.8578
F12 0.3014 0.7303 0.6422
F13 0.5364 0.9251 0.1103
F14 0.0749 0.4636 0.3897
F15 0.4636 0.0749 0.8897
F16 0.9251 0.5364 0.6103
F17 0.1379 0.5848 0.0456
F18 0.4152 0.8621 0.4544
F19 0.8621 0.4152 0.9544
F20 0.5848 0.1379 0.5456
F21 0.1342 0.6334 0.2062
F22 0.3666 0.8658 0.2938
F23 0.8658 0.3666 0.7938
F24 0.6334 0.1342 0.7062
F25 0.9365 0.9242 0.1092
F26 0.0758 0.0635 0.3908
F27 0.0635 0.0758 0.8908
F28 0.9242 0.9365 0.6092
F29 0.3342 0.3022 0.1417
F30 0.6978 0.6658 0.3583
F31 0.6658 0.6978 0.8583
F32 0.3022 0.3342 0.6417
F33 0.9065 0.5370 0.1539
F34 0.4630 0.0935 0.3461
F35 0.0935 0.4630 0.8461
F36 0.5370 0.9065 0.6539
F37 0.3580 0.6928 0.0996
F38 0.3072 0.6420 0.4004
F39 0.6420 0.3072 0.9004
F40 0.6928 0.3580 0.5996
F41 0.1298 0.2055 0.0327
F42 0.7945 0.8702 0.4673
F43 0.8702 0.7945 0.9673
F44 0.2055 0.1298 0.5327
F45 0.9726 0.8620 0.2910
F46 0.1380 0.0274 0.2090
F47 0.0274 0.1380 0.7090
F48 0.8620 0.9726 0.7910
F49 0.6369 0.0309 0.2058
F50 0.9691 0.3631 0.2942
F51 0.3631 0.9691 0.7942
F52 0.0309 0.6369 0.7058
F53 0.6363 0.1888 0.0456
F54 0.8112 0.3637 0.4544
F55 0.3637 0.8112 0.9544
F56 0.1888 0.6363 0.5456
```